[1]
A relaxed structure of TiS. Source: the Materials Project, functional GGA-PBE.

Lattice parameters (Å, degrees): 3.219 3.274 3.274 120.00 90.00 90.00
Sites, in units of the cell vectors:
Ti 0.000 0.667 0.333
S 0.500 0.000 0.000

Properties
The formation energy comes out at -1720 meV/atom.

---

[2]
A relaxed structure of Na2Bi21O42. Source: the Materials Project, functional GGA-PBE.

Lattice parameters (Å, degrees): 13.649 13.649 7.804 73.87 73.87 120.91
Sites, in units of the cell vectors:
O 0.645 0.645 0.640
O 0.086 0.086 0.664
O 0.700 0.036 0.365
O 0.722 0.531 0.911
O 0.755 0.422 0.659
O 0.662 0.995 0.922
O 0.860 0.390 0.329
O 0.531 0.722 0.911
O 0.278 0.469 0.089
O 0.390 0.860 0.329
O 0.055 0.195 0.915
O 0.805 0.945 0.085
O 0.964 0.300 0.635
O 0.578 0.245 0.341
O 0.865 0.388 0.912
O 0.531 0.735 0.324
O 0.195 0.055 0.915
O 0.674 0.674 0.064
O 0.057 0.192 0.330
O 0.422 0.755 0.659
O 0.945 0.805 0.085
O 0.735 0.531 0.324
O 0.914 0.914 0.336
O 0.355 0.355 0.360
O 0.036 0.700 0.365
O 0.005 0.338 0.078
O 0.469 0.265 0.676
O 0.300 0.964 0.635
O 0.338 0.005 0.078
O 0.192 0.057 0.330
O 0.612 0.135 0.088
O 0.808 0.943 0.670
O 0.140 0.610 0.671
O 0.265 0.469 0.676
O 0.610 0.140 0.671
O 0.326 0.326 0.936
O 0.388 0.865 0.912
O 0.995 0.662 0.922
O 0.943 0.808 0.670
O 0.135 0.612 0.088
O 0.469 0.278 0.089
O 0.245 0.578 0.341
Na 0.166 0.834 0.500
Na 0.834 0.166 0.500
Bi 0.828 0.662 0.499
Bi 0.667 0.333 0.000
Bi 0.667 0.333 0.500
Bi 0.000 0.500 0.000
Bi 0.333 0.667 0.000
Bi 0.833 0.667 0.998
Bi 0.667 0.833 0.998
Bi 0.172 0.338 0.501
Bi 0.833 0.167 0.000
Bi 0.500 0.000 0.500
Bi 0.000 0.000 0.500
Bi 0.662 0.828 0.499
Bi 0.338 0.172 0.501
Bi 0.500 0.500 0.000
Bi 0.000 0.500 0.500
Bi 0.167 0.333 0.002
Bi 0.333 0.667 0.500
Bi 0.500 0.000 0.000
Bi 0.333 0.167 0.002
Bi 0.000 0.000 0.000
Bi 0.167 0.833 0.000

Properties
The formation energy comes out at -1467 meV/atom. Its total moment is 0.0 μB/f.u.

---

[3]
A relaxed structure of U3Ga2Si3. Source: the Materials Project, functional GGA-PBE.

Lattice parameters (Å, degrees): 7.649 7.649 7.649 120.44 120.44 89.23
Sites, in units of the cell vectors:
Ga 0.188 0.688 0.216
Ga 0.688 0.472 0.500
Ga 0.472 0.972 0.784
Ga 0.972 0.188 0.500
Si 0.059 0.851 0.500
Si 0.498 0.498 0.000
Si 0.559 0.059 0.208
Si 0.351 0.559 0.500
Si 0.851 0.351 0.792
Si 0.998 0.998 0.000
U 0.248 0.248 0.000
U 0.177 0.677 0.811
U 0.677 0.866 0.500
U 0.748 0.748 0.000
U 0.366 0.177 0.500
U 0.866 0.366 0.189

Properties
For the relative energy among the computed polymorphs, the calculation gives 0.000 kcal/mol of atoms. The formation energy comes out at -211 meV/atom. Its total moment is 6.7 μB/f.u.

---

[4]
A relaxed structure of Lu2IrRh. Source: the Materials Project, functional GGA-PBE.

Lattice parameters (Å, degrees): 4.757 4.757 4.757 60.00 60.00 60.00
Sites, in units of the cell vectors:
Lu 0.750 0.750 0.750
Lu 0.250 0.250 0.250
Ir 0.500 0.500 0.500
Rh 0.000 0.000 0.000

Properties
The formation energy comes out at -1026 meV/atom.

---

[5]
A relaxed structure of Be3N2. Source: the Materials Project, functional GGA-PBE.

Lattice parameters (Å, degrees): 2.818 2.818 4.667 90.00 90.00 120.00
Sites, in units of the cell vectors:
N 0.667 0.333 0.253
N 0.333 0.667 0.747
Be 0.000 0.000 0.000
Be 0.333 0.667 0.350
Be 0.667 0.333 0.650

Properties
For the relative energy among the computed polymorphs, the calculation gives 4.799 kcal/mol of atoms. The formation energy comes out at -1010 meV/atom. Its total moment is 0.0 μB/f.u.

---

[6]
A relaxed structure of PaHgAu2. Source: the Materials Project, functional GGA-PBE.

Lattice parameters (Å, degrees): 4.978 4.978 4.978 60.00 60.00 60.00
Sites, in units of the cell vectors:
Hg 0.500 0.500 0.500
Au 0.750 0.750 0.750
Au 0.250 0.250 0.250
Pa 0.000 0.000 0.000

Properties
The formation energy comes out at -301 meV/atom.

---

[7]
A relaxed structure of K2Ga2Sb3. Source: the Materials Project, functional GGA-PBE.

Lattice parameters (Å, degrees): 7.345 15.007 16.893 89.49 90.00 90.00
Sites, in units of the cell vectors:
Sb 0.533 0.028 0.327
Sb 0.682 0.252 0.678
Sb 0.212 0.246 0.182
Sb 0.057 0.671 0.114
Sb 0.318 0.748 0.322
Sb 0.182 0.748 0.822
Sb 0.288 0.246 0.682
Sb 0.537 0.525 0.165
Sb 0.963 0.525 0.665
Sb 0.049 0.164 0.401
Sb 0.033 0.972 0.173
Sb 0.549 0.836 0.099
Sb 0.951 0.836 0.599
Sb 0.443 0.671 0.614
Sb 0.712 0.754 0.318
Sb 0.463 0.475 0.835
Sb 0.037 0.475 0.335
Sb 0.557 0.329 0.386
Sb 0.788 0.754 0.818
Sb 0.467 0.972 0.673
Sb 0.818 0.252 0.178
Sb 0.967 0.028 0.827
Sb 0.943 0.329 0.886
Sb 0.451 0.164 0.901
Ga 0.784 0.686 0.670
Ga 0.209 0.091 0.270
Ga 0.716 0.686 0.170
Ga 0.709 0.909 0.230
Ga 0.230 0.818 0.176
Ga 0.284 0.314 0.830
Ga 0.265 0.592 0.740
Ga 0.291 0.091 0.770
Ga 0.735 0.408 0.260
Ga 0.791 0.909 0.730
Ga 0.235 0.592 0.240
Ga 0.765 0.408 0.760
Ga 0.770 0.182 0.824
Ga 0.730 0.182 0.324
Ga 0.216 0.314 0.330
Ga 0.270 0.818 0.676
K 0.454 0.444 0.608
K 0.040 0.652 0.480
K 0.046 0.444 0.108
K 0.960 0.348 0.520
K 0.525 0.856 0.492
K 0.475 0.144 0.508
K 0.025 0.925 0.387
K 0.525 0.075 0.113
K 0.975 0.075 0.613
K 0.546 0.556 0.392
K 0.025 0.144 0.008
K 0.975 0.856 0.992
K 0.475 0.925 0.887
K 0.954 0.556 0.892
K 0.540 0.348 0.020
K 0.460 0.652 0.980

Properties
The formation energy comes out at -436 meV/atom.

---

[8]
A relaxed structure of Rb3AlBr6. Source: the Materials Project, functional GGA-PBE.

Lattice parameters (Å, degrees): 8.155 8.155 8.155 60.00 60.00 60.00
Sites, in units of the cell vectors:
Br 0.781 0.219 0.219
Br 0.219 0.781 0.219
Br 0.219 0.219 0.781
Br 0.219 0.781 0.781
Br 0.781 0.219 0.781
Br 0.781 0.781 0.219
Al 0.000 0.000 0.000
Rb 0.500 0.500 0.500
Rb 0.250 0.250 0.250
Rb 0.750 0.750 0.750

Properties
The formation energy comes out at -1791 meV/atom. Its total moment is 0.0 μB/f.u.

---

[9]
A relaxed structure of NaYC4O10. Source: the Materials Project, functional GGA-PBE.

Lattice parameters (Å, degrees): 11.880 6.798 6.818 78.32 90.00 90.00
Sites, in units of the cell vectors:
O 0.703 0.821 0.362
O 0.481 0.754 0.675
O 0.981 0.246 0.325
O 0.741 0.335 0.022
O 0.424 0.138 0.871
O 0.340 0.744 0.234
O 0.849 0.903 0.562
O 0.095 0.034 0.056
O 0.074 0.807 0.692
O 0.924 0.862 0.129
O 0.203 0.179 0.638
O 0.082 0.456 0.773
O 0.574 0.193 0.308
O 0.759 0.562 0.733
O 0.595 0.966 0.944
O 0.349 0.097 0.438
O 0.840 0.256 0.766
O 0.241 0.665 0.978
O 0.582 0.544 0.227
O 0.259 0.438 0.267
Na 0.247 0.309 0.987
Na 0.747 0.691 0.013
Y 0.485 0.829 0.393
Y 0.985 0.171 0.607
C 0.778 0.385 0.841
C 0.278 0.615 0.159
C 0.084 0.633 0.745
C 0.584 0.367 0.255
C 0.275 0.155 0.525
C 0.775 0.845 0.475
C 0.008 0.958 0.103
C 0.508 0.042 0.897

Properties
For the relative energy among the computed polymorphs, the calculation gives 7.490 kcal/mol of atoms. The formation energy comes out at -1852 meV/atom. Its total moment is 0.0 μB/f.u.

---

[10]
A relaxed structure of Rb2NbAgSe4. Source: the Materials Project, functional GGA-PBE.

Lattice parameters (Å, degrees): 14.389 12.842 7.815 84.58 62.68 32.73
Sites, in units of the cell vectors:
Nb 0.500 0.500 0.500
Nb 0.750 0.750 0.750
Rb 0.930 0.930 0.570
Rb 0.680 0.680 0.320
Rb 0.320 0.320 0.680
Rb 0.570 0.570 0.930
Se 0.925 0.689 0.372
Se 0.237 0.878 0.561
Se 0.878 0.237 0.325
Se 0.561 0.325 0.237
Se 0.013 0.372 0.689
Se 0.325 0.561 0.878
Se 0.689 0.925 0.013
Se 0.372 0.013 0.925
Ag 0.000 0.000 0.000
Ag 0.250 0.250 0.250

Properties
For the relative energy among the computed polymorphs, the calculation gives 0.000 kcal/mol of atoms. The formation energy comes out at -1167 meV/atom. Its total moment is 0.0 μB/f.u.

---

[11]
A relaxed structure of Ba4Ga2S7. Source: the Materials Project, functional GGA-PBE.

Lattice parameters (Å, degrees): 7.222 9.146 11.971 71.00 90.00 90.00
Sites, in units of the cell vectors:
S 0.997 0.759 0.165
S 0.500 0.315 0.412
S 0.250 0.836 0.887
S 0.750 0.990 0.657
S 0.497 0.241 0.835
S 0.250 0.010 0.343
S 0.250 0.418 0.111
S 0.750 0.582 0.889
S 0.503 0.759 0.165
S 0.750 0.164 0.113
S 0.500 0.685 0.588
S 0.003 0.241 0.835
S 0.000 0.685 0.588
S 0.000 0.315 0.412
Ba 0.750 0.469 0.183
Ba 0.250 0.630 0.391
Ba 0.250 0.076 0.067
Ba 0.750 0.370 0.609
Ba 0.250 0.009 0.612
Ba 0.250 0.531 0.817
Ba 0.750 0.924 0.933
Ba 0.750 0.991 0.388
Ga 0.750 0.732 0.688
Ga 0.250 0.687 0.080
Ga 0.250 0.268 0.312
Ga 0.750 0.313 0.920

Properties
The formation energy comes out at -1872 meV/atom.

---

[12]
A relaxed structure of KRb2InF6. Source: the Materials Project, functional GGA-PBE.

Lattice parameters (Å, degrees): 6.564 6.564 6.564 120.27 120.27 89.53
Sites, in units of the cell vectors:
Rb 0.750 0.250 0.500
Rb 0.250 0.750 0.500
F 0.774 0.774 0.000
F 0.226 0.226 0.000
F 0.263 0.186 0.449
F 0.814 0.263 0.077
F 0.186 0.737 0.923
F 0.737 0.814 0.551
K 0.500 0.500 0.000
In 0.000 0.000 0.000

Properties
The formation energy comes out at -2997 meV/atom. Its total moment is 0.0 μB/f.u.

---

[13]
A relaxed structure of BC5. Source: the Materials Project, functional GGA-PBE.

Lattice parameters (Å, degrees): 4.469 4.469 4.469 147.45 130.61 60.41
Sites, in units of the cell vectors:
C 0.175 0.000 0.175
C 0.889 0.672 0.216
C 0.127 0.168 0.958
C 0.790 0.832 0.958
C 0.544 0.328 0.216
B 0.476 0.500 0.976

Properties
For the relative energy among the computed polymorphs, the calculation gives 0.537 kcal/mol of atoms. The formation energy comes out at 253 meV/atom. Its total moment is 0.0 μB/f.u.

---

[14]
A relaxed structure of K2Na2Eu4Nb2O13. Source: the Materials Project, functional GGA-PBE.

Lattice parameters (Å, degrees): 12.596 12.596 11.385 64.27 64.27 26.37
Sites, in units of the cell vectors:
O 0.751 0.247 0.479
O 0.819 0.441 0.863
O 0.407 0.860 0.124
O 0.241 0.759 0.250
O 0.201 0.328 0.876
O 0.799 0.672 0.124
O 0.168 0.630 0.841
O 0.593 0.140 0.876
O 0.249 0.753 0.521
O 0.441 0.819 0.363
O 0.140 0.593 0.376
O 0.646 0.091 0.141
O 0.247 0.751 0.979
O 0.753 0.249 0.021
O 0.630 0.168 0.341
O 0.091 0.646 0.641
O 0.559 0.181 0.637
O 0.672 0.799 0.624
O 0.909 0.354 0.359
O 0.860 0.407 0.624
O 0.370 0.832 0.659
O 0.328 0.201 0.376
O 0.832 0.370 0.159
O 0.354 0.909 0.859
O 0.759 0.241 0.750
O 0.181 0.559 0.137
K 0.802 0.697 0.367
K 0.303 0.198 0.133
K 0.198 0.303 0.633
K 0.697 0.802 0.867
Eu 0.395 0.479 0.448
Eu 0.605 0.521 0.552
Eu 0.971 0.904 0.174
Eu 0.096 0.029 0.326
Eu 0.904 0.971 0.674
Eu 0.521 0.605 0.052
Eu 0.479 0.395 0.948
Eu 0.029 0.096 0.826
Nb 0.384 0.315 0.282
Nb 0.315 0.384 0.782
Nb 0.616 0.685 0.718
Nb 0.685 0.616 0.218
Na 0.880 0.803 0.023
Na 0.197 0.120 0.477
Na 0.120 0.197 0.977
Na 0.803 0.880 0.523

Properties
The formation energy comes out at -2896 meV/atom. Its total moment is 24.0 μB/f.u.

---

[15]
A relaxed structure of CsLiI2. Source: the Materials Project, functional GGA-PBE.

Lattice parameters (Å, degrees): 10.551 10.551 13.574 90.00 90.00 153.22
Sites, in units of the cell vectors:
Cs 0.657 0.343 0.484
Cs 0.489 0.511 0.263
Cs 0.511 0.489 0.763
Cs 0.343 0.657 0.984
Li 0.281 0.719 0.284
Li 0.132 0.868 0.047
Li 0.868 0.132 0.547
Li 0.719 0.281 0.784
I 0.163 0.837 0.720
I 0.853 0.147 0.755
I 0.000 0.000 0.505
I 0.147 0.853 0.255
I 0.311 0.689 0.483
I 0.689 0.311 0.983
I 0.000 0.000 0.005
I 0.837 0.163 0.220

Properties
The formation energy comes out at -1555 meV/atom. Its total moment is 0.0 μB/f.u.